1.
VASP calculation (PBE) on a relaxed Na14Ca5Ge3P12O48 crystal.

Cell and atoms, written as POSCAR:
```
Na14Ca5Ge3P12O48
1.0
18.3112 0.0497 0.0024
-4.5562 7.9552 0.0003
0.0033 0.0036 22.2656
Na Ca Ge P O
42 15 9 36 144
Direct
0.1845 0.3611 0.2475
0.6859 0.3641 0.2466
0.9964 0.6352 0.2473
0.4966 0.6329 0.2471
0.3183 0.6305 0.7476
0.8194 0.6286 0.7485
0.1828 0.0072 0.7479
0.6817 0.0079 0.7483
0.1587 0.3363 0.5831
0.6587 0.3363 0.5832
0.0100 0.6832 0.5835
0.5100 0.6832 0.5836
0.3315 0.9783 0.5824
0.8314 0.9784 0.5826
0.1513 0.9695 0.0822
0.6585 0.9742 0.0826
0.3315 0.6807 0.0822
0.0117 0.3440 0.0822
0.5157 0.3377 0.0810
0.4855 0.6753 0.9147
0.9861 0.6729 0.9151
0.3543 0.0366 0.9147
0.1626 0.2897 0.9148
0.6653 0.2963 0.9152
0.4817 0.2918 0.4158
0.9818 0.2919 0.4154
0.1639 0.0364 0.4152
0.6640 0.0365 0.4155
0.3540 0.6701 0.4158
0.8543 0.6705 0.4155
0.9995 0.0002 0.4999
0.4994 0.0002 0.5002
0.9832 0.9846 0.9995
0.5010 0.0030 0.0007
0.3415 0.3340 0.8307
0.8421 0.3199 0.8337
0.3327 0.3172 0.3311
0.8335 0.3177 0.3313
0.1730 0.6788 0.1688
0.6803 0.6829 0.1655
0.1606 0.6557 0.6684
0.6594 0.6539 0.6685
0.9984 0.0013 0.3461
0.4980 0.0006 0.3466
0.9952 0.0023 0.8518
0.5012 0.0049 0.8476
0.3365 0.3332 0.6843
0.8366 0.3338 0.6840
0.3330 0.3261 0.1835
0.8336 0.3319 0.1853
0.3333 0.3326 0.9857
0.3338 0.3332 0.4862
0.8337 0.3331 0.4862
0.1668 0.6664 0.0191
0.6710 0.6681 0.0190
0.1672 0.6675 0.5188
0.6672 0.6675 0.5189
0.0000 0.0027 0.6553
0.5003 0.0038 0.6560
0.9929 0.9944 0.1515
0.4970 0.9929 0.1560
0.8335 0.3285 0.9839
0.1695 0.6726 0.3144
0.6703 0.6736 0.3144
0.1578 0.6545 0.8167
0.6703 0.6660 0.8162
0.1443 0.9828 0.2506
0.6454 0.9843 0.2521
0.3449 0.7071 0.2516
0.8467 0.7133 0.2508
0.0087 0.3114 0.2512
0.5100 0.3116 0.2505
0.1435 0.3061 0.7530
0.6463 0.3100 0.7512
0.0074 0.7113 0.7527
0.5084 0.7101 0.7529
0.3440 0.9810 0.7521
0.8442 0.9809 0.7509
0.4869 0.3147 0.5862
0.9870 0.3150 0.5862
0.1706 0.0270 0.5894
0.6705 0.0269 0.5893
0.3428 0.6590 0.5895
0.8427 0.6589 0.5893
0.4867 0.6568 0.0894
0.9757 0.6414 0.0841
0.3434 0.0267 0.0865
0.8412 0.0486 0.0833
0.1691 0.3113 0.0899
0.6800 0.3153 0.0849
0.3085 0.6590 0.9121
0.8119 0.6458 0.9158
0.0145 0.3791 0.9198
0.5227 0.3859 0.9138
0.1695 0.9584 0.9120
0.6765 0.9705 0.9175
0.3091 0.9575 0.4134
0.8094 0.9579 0.4135
0.1699 0.3815 0.4118
0.6699 0.3817 0.4117
0.0213 0.6614 0.4118
0.5215 0.6613 0.4116
0.1086 0.0054 0.3088
0.6086 0.0056 0.3099
0.3948 0.7758 0.3087
0.8943 0.7766 0.3089
0.4991 0.2188 0.3086
0.9987 0.2204 0.3095
0.1090 0.2049 0.8096
0.6119 0.2107 0.8082
0.4963 0.7816 0.8108
0.9982 0.7888 0.8094
0.3907 0.0021 0.8100
0.8946 0.0045 0.8056
0.3961 0.9628 0.6966
0.8901 0.9575 0.6930
0.0869 0.2126 0.6958
0.5883 0.2144 0.6949
0.0223 0.8332 0.6966
0.5224 0.8348 0.6976
0.3933 0.8239 0.1952
0.8959 0.8353 0.1954
0.0173 0.2086 0.1955
0.5203 0.2080 0.1946
0.0815 0.9494 0.1954
0.5818 0.9540 0.1968
0.4416 0.3502 0.6354
0.9419 0.3504 0.6356
0.2270 0.1114 0.6428
0.7273 0.1118 0.6425
0.3279 0.5449 0.6428
0.8282 0.5455 0.6428
0.4438 0.5463 0.1430
0.9410 0.5386 0.1405
0.3260 0.1160 0.1360
0.8271 0.1258 0.1382
0.2254 0.3405 0.1435
0.7277 0.3375 0.1422
0.2044 0.2771 0.0319
0.7284 0.2890 0.0277
0.4342 0.5903 0.0315
0.9203 0.5469 0.0260
0.3624 0.1236 0.0264
0.8601 0.1745 0.0265
0.2052 0.1315 0.5313
0.7050 0.1314 0.5311
0.3607 0.5897 0.5313
0.8605 0.5893 0.5311
0.4377 0.2759 0.5262
0.9377 0.2758 0.5264
0.2713 0.6758 0.9707
0.7707 0.6684 0.9703
0.0616 0.4509 0.9777
0.5659 0.4574 0.9732
0.1618 0.8659 0.9702
0.6607 0.8694 0.9743
0.2734 0.8693 0.4729
0.7733 0.8690 0.4728
0.1619 0.4580 0.4701
0.6620 0.4584 0.4699
0.0673 0.6772 0.4702
0.5675 0.6772 0.4700
0.0717 0.6465 0.3547
0.5720 0.6465 0.3544
0.2492 0.8544 0.3587
0.7493 0.8551 0.3586
0.1775 0.4974 0.3548
0.6777 0.4976 0.3545
0.0598 0.5047 0.8642
0.5766 0.5117 0.8595
0.1763 0.8548 0.8550
0.6871 0.8804 0.8592
0.2471 0.6403 0.8562
0.7561 0.6216 0.8564
0.0102 0.8172 0.4084
0.5103 0.8169 0.4083
0.3976 0.9776 0.4089
0.8978 0.9777 0.4090
0.0921 0.2053 0.4081
0.5920 0.2056 0.4080
0.0066 0.2084 0.9108
0.5129 0.2101 0.9085
0.0926 0.9820 0.9083
0.6011 0.0010 0.9099
0.3966 0.8144 0.9076
0.9017 0.7874 0.9101
0.4894 0.1468 0.5978
0.9896 0.1470 0.5979
0.0826 0.0202 0.5976
0.5824 0.0196 0.5976
0.4266 0.8341 0.5981
0.9271 0.8337 0.5976
0.4897 0.8339 0.0977
0.9826 0.8216 0.0890
0.4295 0.0244 0.0975
0.9261 0.0428 0.0888
0.0812 0.1402 0.0975
0.5940 0.1453 0.0863
0.3262 0.1255 0.7446
0.8235 0.1216 0.7435
0.2334 0.3379 0.7432
0.7351 0.3363 0.7423
0.4321 0.5387 0.7433
0.9308 0.5388 0.7444
0.3313 0.5296 0.2424
0.8332 0.5366 0.2411
0.4380 0.3472 0.2428
0.9376 0.3508 0.2448
0.2302 0.1361 0.2421
0.7306 0.1379 0.2432
0.3138 0.4963 0.9092
0.8133 0.4728 0.9200
0.4362 0.3762 0.9096
0.9259 0.3744 0.9225
0.2518 0.1291 0.9085
0.7593 0.1519 0.9226
0.3140 0.1311 0.4107
0.8141 0.1312 0.4108
0.2516 0.3711 0.4092
0.7515 0.3709 0.4092
0.4353 0.4980 0.4088
0.9351 0.4982 0.4091
0.1540 0.4612 0.0859
0.6602 0.4571 0.0775
0.0664 0.6747 0.0762
0.5764 0.6862 0.0856
0.2701 0.8451 0.0844
0.7660 0.8764 0.0747
0.1546 0.8466 0.5854
0.6546 0.8466 0.5853
0.2681 0.6904 0.5854
0.7682 0.6906 0.5853
0.0776 0.4616 0.5837
0.5775 0.4616 0.5836
0.1482 0.8116 0.2530
0.6482 0.8131 0.2528
0.2555 0.6949 0.2540
0.7565 0.6982 0.2533
0.0950 0.4837 0.2502
0.5956 0.4836 0.2496
0.1491 0.4860 0.7572
0.6538 0.4904 0.7544
0.0929 0.7024 0.7542
0.5954 0.7088 0.7550
0.2582 0.8103 0.7504
0.7573 0.8072 0.7540
```

Calculated total energy, eV per cell: -1592.59
Crystal system: triclinic
Symmetry: P1 (1)
DFT formation energy, eV/atom: -2.67

2.
VASP calculation (PBE) on a relaxed NaCaGePS2O12 crystal.

Cell and atoms, written as POSCAR:
```
NaCaGePS2O12
1.0
8.8596 0.0000 0.0000
-4.4298 7.6872 0.0925
0.0000 0.2816 22.4481
Na Ca Ge P S O
6 6 6 6 12 72
Direct
0.9800 0.9792 0.4996
0.9992 0.9792 0.9996
0.6518 0.3116 0.8338
0.6599 0.3116 0.3338
0.3276 0.6774 0.1674
0.3498 0.6774 0.6674
0.9986 0.9979 0.6412
0.9993 0.9979 0.1412
0.6601 0.3317 0.9746
0.6716 0.3317 0.4746
0.3352 0.6722 0.3083
0.3370 0.6722 0.8083
0.0095 0.0018 0.3518
0.9923 0.0018 0.8518
0.6726 0.3394 0.6865
0.6667 0.3394 0.1865
0.3062 0.6750 0.0198
0.3688 0.6750 0.5198
0.3042 0.0293 0.2478
0.7251 0.0293 0.7478
0.6497 0.6069 0.5823
0.9572 0.6069 0.0823
0.3039 0.9491 0.9128
0.6452 0.9491 0.4128
0.7211 0.6926 0.2507
0.9754 0.2782 0.2488
0.3028 0.2782 0.7488
0.9716 0.6926 0.7507
0.9798 0.3665 0.5831
0.3906 0.0259 0.5833
0.6352 0.0259 0.0833
0.3867 0.3665 0.0831
0.6371 0.6947 0.9160
0.0526 0.3620 0.9171
0.3094 0.3620 0.4171
0.0576 0.6947 0.4160
0.2130 0.0520 0.3079
0.8268 0.7780 0.3055
0.9547 0.1711 0.3059
0.2164 0.1711 0.8059
0.9512 0.7780 0.8055
0.8390 0.0520 0.8079
0.8134 0.0179 0.6936
0.2080 0.1985 0.6960
0.0006 0.7946 0.6968
0.7940 0.7946 0.1968
0.9905 0.1985 0.1960
0.2045 0.0179 0.1936
0.8919 0.3829 0.6395
0.4940 0.1086 0.6388
0.6234 0.4902 0.6424
0.8668 0.4902 0.1424
0.6146 0.1086 0.1388
0.4910 0.3829 0.1395
0.4662 0.3440 0.0307
0.8617 0.5227 0.0275
0.6536 0.1236 0.0291
0.4700 0.1236 0.5291
0.6610 0.5227 0.5275
0.8778 0.3440 0.5307
0.5518 0.7128 0.9712
0.1561 0.4472 0.9735
0.2739 0.8343 0.9748
0.5604 0.8343 0.4748
0.2911 0.4472 0.4735
0.1609 0.7128 0.4712
0.1325 0.6743 0.3620
0.5356 0.8617 0.3608
0.3211 0.4593 0.3636
0.1382 0.4593 0.8636
0.3261 0.8617 0.8608
0.5418 0.6743 0.8620
0.0578 0.8690 0.4121
0.8275 0.9523 0.4078
0.1405 0.1868 0.4162
0.0463 0.1868 0.9162
0.1249 0.9523 0.9078
0.8112 0.8690 0.9121
0.0175 0.2246 0.5887
0.2120 0.9912 0.5884
0.7974 0.7913 0.5874
0.9939 0.7913 0.0874
0.7791 0.9912 0.0884
0.2071 0.2246 0.0887
0.7170 0.2077 0.7441
0.4781 0.2832 0.7472
0.7964 0.5224 0.7474
0.7261 0.5224 0.2474
0.8051 0.2832 0.2472
0.4908 0.2077 0.2441
0.6788 0.5553 0.9212
0.8751 0.3318 0.9206
0.4519 0.1331 0.9193
0.6812 0.1331 0.4193
0.4567 0.3318 0.4206
0.8765 0.5553 0.4212
0.3881 0.5393 0.0793
0.1427 0.6124 0.0807
0.4632 0.8510 0.0806
0.3878 0.8510 0.5806
0.4697 0.6124 0.5807
0.1512 0.5393 0.5793
0.3392 0.8799 0.2538
0.5393 0.6479 0.2570
0.1218 0.4555 0.2535
0.3336 0.4555 0.7535
0.1086 0.6479 0.7570
0.5407 0.8799 0.7538
```

Calculated total energy, eV per cell: -679.38
Crystal system: monoclinic
Symmetry: Cc (9)
DFT formation energy, eV/atom: -2.25

Number 1: density 2.9 g/cm3. Number 2: density 2.8 g/cm3.